Record 1
Lu4V5B18 after structural relaxation, computed with GGA-PBE.

Cell lengths 3.359, 8.942, 33.815 Å; angles 89.99, 90.00, 90.00 degrees
Positions (direct):
Lu1 0.000 0.677 0.862
Lu2 0.000 0.677 0.528
Lu3 0.000 0.678 0.195
Lu4 0.000 0.323 0.805
Lu5 0.000 0.323 0.471
Lu6 0.000 0.323 0.138
Lu7 0.000 0.181 0.973
Lu8 0.000 0.182 0.638
Lu9 0.000 0.181 0.305
Lu10 0.000 0.818 0.695
Lu11 0.000 0.819 0.362
Lu12 0.000 0.820 0.029
Lu13 0.000 0.056 0.877
Lu14 0.000 0.054 0.542
Lu15 0.000 0.054 0.209
Lu16 0.000 0.944 0.790
V1 0.000 0.365 0.896
V2 0.000 0.363 0.562
V3 0.000 0.363 0.229
V4 0.000 0.635 0.771
V5 0.000 0.643 0.438
V6 0.000 0.643 0.105
V7 0.000 0.849 0.941
V8 0.000 0.849 0.607
V9 0.000 0.849 0.274
V10 0.000 0.151 0.726
V11 0.000 0.145 0.394
V12 0.000 0.145 0.061
V13 0.000 0.944 0.456
V14 0.000 0.944 0.122
V15 0.000 0.555 0.957
V16 0.000 0.555 0.624
V17 0.000 0.555 0.291
V18 0.000 0.445 0.709
V19 0.000 0.445 0.377
V20 0.000 0.446 0.043
B1 0.500 0.406 0.992
B2 0.500 0.407 0.658
B3 0.500 0.406 0.325
B4 0.500 0.593 0.675
B5 0.500 0.593 0.342
B6 0.500 0.593 0.009
B7 0.500 0.896 0.843
B8 0.500 0.900 0.506
B9 0.500 0.900 0.173
B10 0.500 0.104 0.824
B11 0.500 0.095 0.489
B12 0.500 0.095 0.156
B13 0.500 0.207 0.914
B14 0.500 0.206 0.580
B15 0.500 0.206 0.247
B16 0.500 0.793 0.753
B17 0.500 0.799 0.421
B18 0.500 0.799 0.087
B19 0.500 0.699 0.922
B20 0.500 0.699 0.588
B21 0.500 0.699 0.255
B22 0.500 0.301 0.744
B23 0.500 0.299 0.412
B24 0.500 0.299 0.079
B25 0.500 0.448 0.856
B26 0.500 0.450 0.522
B27 0.500 0.450 0.189
B28 0.500 0.551 0.811
B29 0.500 0.556 0.477
B30 0.500 0.556 0.144
B31 0.500 0.944 0.979
B32 0.500 0.945 0.645
B33 0.500 0.944 0.312
B34 0.500 0.055 0.688
B35 0.500 0.054 0.355
B36 0.500 0.054 0.022
B37 0.500 0.017 0.930
B38 0.500 0.017 0.596
B39 0.500 0.017 0.263
B40 0.500 0.983 0.736
B41 0.500 0.980 0.405
B42 0.500 0.980 0.071
B43 0.500 0.523 0.906
B44 0.500 0.522 0.572
B45 0.500 0.522 0.239
B46 0.500 0.477 0.761
B47 0.500 0.479 0.428
B48 0.500 0.479 0.095
B49 0.500 0.375 0.941
B50 0.500 0.375 0.607
B51 0.500 0.375 0.274
B52 0.500 0.624 0.726
B53 0.500 0.627 0.393
B54 0.500 0.627 0.060
B55 0.500 0.865 0.895
B56 0.500 0.865 0.561
B57 0.500 0.865 0.228
B58 0.500 0.135 0.772
B59 0.500 0.128 0.439
B60 0.500 0.128 0.106
B61 0.500 0.252 0.861
B62 0.500 0.250 0.527
B63 0.500 0.251 0.194
B64 0.500 0.748 0.806
B65 0.500 0.758 0.472
B66 0.500 0.758 0.139
B67 0.500 0.738 0.974
B68 0.500 0.739 0.640
B69 0.500 0.738 0.307
B70 0.500 0.262 0.693
B71 0.500 0.260 0.360
B72 0.500 0.260 0.027

The space-group type is No. 6. The crystal system is monoclinic. As for the energy of formation from the pure elements: -726 meV per atom.

Record 2
MgB4 after structural relaxation, computed with GGA-PBE.

Cell lengths 4.397, 5.488, 7.424 Å; angles 90.00, 90.00, 90.00 degrees
Positions (direct):
Mg1 0.750 0.454 0.638
Mg2 0.250 0.546 0.362
Mg3 0.750 0.954 0.862
Mg4 0.250 0.046 0.138
B1 0.750 0.778 0.154
B2 0.250 0.222 0.846
B3 0.750 0.278 0.346
B4 0.250 0.722 0.654
B5 0.750 0.947 0.353
B6 0.250 0.053 0.647
B7 0.750 0.447 0.147
B8 0.250 0.553 0.853
B9 0.942 0.368 0.937
B10 0.442 0.632 0.063
B11 0.558 0.868 0.563
B12 0.058 0.132 0.437
B13 0.058 0.632 0.063
B14 0.558 0.368 0.937
B15 0.442 0.132 0.437
B16 0.942 0.868 0.563

The space-group type is No. 62. The crystal system is orthorhombic. As for the energy of formation from the pure elements: -139 meV per atom.

Record 3
MgB3 after structural relaxation, computed with GGA-PBE.

Cell lengths 4.115, 4.115, 6.366 Å; angles 90.00, 90.00, 90.00 degrees
Positions (direct):
Mg1 0.500 0.500 0.723
Mg2 0.500 0.500 0.277
B1 0.000 0.301 0.000
B2 0.000 0.699 0.000
B3 0.699 0.000 0.000
B4 0.301 0.000 0.000
B5 0.000 0.000 0.810
B6 0.000 0.000 0.190

The space-group type is No. 123. The crystal system is tetragonal. As for the energy of formation from the pure elements: 338 meV per atom.

Record 4
Mg14MnB after structural relaxation, computed with GGA-PBE.

Cell lengths 6.221, 6.254, 9.947 Å; angles 90.00, 90.00, 120.17 degrees
Positions (direct):
Mg1 0.174 0.337 0.625
Mg2 0.170 0.835 0.625
Mg3 0.709 0.357 0.125
Mg4 0.663 0.334 0.625
Mg5 0.709 0.852 0.125
Mg6 0.663 0.829 0.625
Mg7 0.320 0.153 0.344
Mg8 0.320 0.153 0.906
Mg9 0.320 0.667 0.344
Mg10 0.320 0.667 0.906
Mg11 0.838 0.169 0.374
Mg12 0.838 0.169 0.876
Mg13 0.838 0.669 0.367
Mg14 0.838 0.669 0.883
Mn1 0.160 0.330 0.125
B1 0.119 0.809 0.125

The space-group type is No. 38. The crystal system is orthorhombic. The value obtained for the polymorph energy (0 for the lowest one) is 0.00 kJ/mol of atoms. As for the energy of formation from the pure elements: 213 meV per atom.